# 1
Here is FeH4S2NO8 after structural relaxation from the Materials Project database. Energies are from GGA+U.

a = 4.9100 Å, b = 11.2372 Å, c = 13.2077 Å
α = 92.54°, β = 100.80°, γ = 77.38°
With the nearest neighbours (Å) after each atom.
Positions (direct):
Fe: 0.2504 0.2482 0.7489  6 O 2.02-2.03
Fe: 0.0002 0.9982 0.9985  6 O 2.02-2.03
Fe: 0.5000 0.4982 0.4986  6 O 2.02-2.03
Fe: 0.7503 0.7482 0.2489  6 O 2.02-2.03
H: 0.6147 0.6980 0.9273  1 N 1.03
H: 0.8646 0.9480 0.6773  1 N 1.03
H: 0.3646 0.4480 0.1773  1 N 1.03
H: 0.1147 0.1980 0.4273  1 N 1.03
H: 0.7726 0.6320 0.8309  1 N 1.04
H: 0.0225 0.8821 0.5808  1 N 1.04
H: 0.5225 0.3821 0.0808  1 N 1.04
H: 0.2727 0.1320 0.3309  1 N 1.04
H: 0.4259 0.6322 0.8305  1 N 1.04
H: 0.6757 0.8823 0.5805  1 N 1.04
H: 0.1757 0.3823 0.0805  1 N 1.04
H: 0.9259 0.1322 0.3305  1 N 1.04
H: 0.6855 0.5455 0.9173  1 N 1.04
H: 0.9355 0.7956 0.6672  1 N 1.04
H: 0.4355 0.2955 0.1672  1 N 1.04
H: 0.1855 0.0455 0.4174  1 N 1.04
S: 0.6831 0.2133 0.5809  4 O 1.45-1.50
S: 0.9329 0.4632 0.3306  4 O 1.45-1.50
S: 0.4329 0.9632 0.8306  4 O 1.45-1.50
S: 0.1829 0.7133 0.0809  4 O 1.45-1.50
S: 0.5678 0.0335 0.1670  4 O 1.48-1.49
S: 0.8175 0.2840 0.9171  4 O 1.48-1.49
S: 0.3174 0.7840 0.4171  4 O 1.48-1.49
S: 0.0675 0.5338 0.6670  4 O 1.48-1.49
N: 0.6247 0.6264 0.8762  4 H 1.03-1.04
N: 0.8746 0.8765 0.6261  4 H 1.03-1.04
N: 0.3746 0.3765 0.1261  4 H 1.03-1.04
N: 0.1247 0.1264 0.3762  4 H 1.03-1.04
O: 0.6968 0.1118 0.5087  1 S 1.45
O: 0.9487 0.3615 0.2584  1 S 1.45
O: 0.4487 0.8615 0.7584  1 S 1.45
O: 0.1967 0.6117 0.0087  1 S 1.45
O: 0.5527 0.1369 0.2407  1 S 1.48
O: 0.8020 0.3877 0.9905  1 S 1.48
O: 0.3020 0.8877 0.4905  1 S 1.48
O: 0.0525 0.6373 0.7406  1 S 1.48
O: 0.7149 0.3256 0.5306  1 S 1.50
O: 0.9647 0.5754 0.2803  1 S 1.50
O: 0.4647 0.0754 0.7803  1 S 1.50
O: 0.2149 0.8255 0.0306  1 S 1.50
O: 0.9161 0.1834 0.6733  1 S 1.50
O: 0.1654 0.4335 0.4232  1 S 1.50
O: 0.6653 0.9335 0.9232  1 S 1.50
O: 0.4156 0.6834 0.1734  1 S 1.50
O: 0.4030 0.2401 0.6167  1 S 1.50
O: 0.6521 0.4897 0.3660  1 S 1.50
O: 0.1521 0.9897 0.8660  1 S 1.50
O: 0.9028 0.7402 0.1167  1 S 1.50
O: 0.8465 0.0105 0.1321  1 S 1.49
O: 0.0967 0.2607 0.8825  1 S 1.49
O: 0.5967 0.7607 0.3825  1 S 1.49
O: 0.3461 0.5108 0.6320  1 S 1.49
O: 0.3322 0.0647 0.0769  1 S 1.49
O: 0.5822 0.3153 0.8267  1 S 1.49
O: 0.0822 0.8153 0.3267  1 S 1.49
O: 0.8320 0.5648 0.5768  1 S 1.49
O: 0.5399 0.9231 0.2194  1 S 1.49
O: 0.7889 0.1737 0.9696  1 S 1.49
O: 0.2887 0.6738 0.4696  1 S 1.49
O: 0.0395 0.4234 0.7194  1 S 1.49

Calculated density ... 2.53 Mg/m³
Calculated formation energy ... -1.47 eV per atom
MP2020-corrected energy ... -6.364 eV/atom
M_tot ... 0.00 μB per formula unit
Piezoelectric modulus e_max ... 0.37 C/m²

# 2
Here is NaFe3P2H8O14 after structural relaxation from the Materials Project database. Energies are from GGA+U.

a = 7.4192 Å, b = 7.4192 Å, c = 19.6435 Å
α = 90.00°, β = 90.00°, γ = 90.00°
With the nearest neighbours (Å) after each atom.
Positions (direct):
Na: 0.1260 0.1260 0.0000  6 O 2.45-2.66, 2 H 2.67
Na: 0.3740 0.6260 0.2500  6 O 2.45-2.66, 2 H 2.67
Na: 0.6260 0.3740 0.7500  6 O 2.45-2.66, 2 H 2.67
Na: 0.8740 0.8740 0.5000  6 O 2.45-2.66, 2 H 2.67
Fe: 0.1027 0.8973 0.7500  6 O 2.03-2.05
Fe: 0.1068 0.6076 0.0076  6 O 1.99-2.19
Fe: 0.1076 0.3932 0.7576  6 O 1.99-2.19
Fe: 0.3924 0.8932 0.4924  6 O 1.99-2.19
Fe: 0.3932 0.1076 0.2424  6 O 1.99-2.19
Fe: 0.3973 0.3973 0.5000  6 O 2.03-2.05
Fe: 0.6027 0.6027 0.0000  6 O 2.03-2.05
Fe: 0.6068 0.8924 0.7424  6 O 1.99-2.19
Fe: 0.6076 0.1068 0.9924  6 O 1.99-2.19
Fe: 0.8924 0.6068 0.2576  6 O 1.99-2.19
Fe: 0.8932 0.3924 0.5076  6 O 1.99-2.19
Fe: 0.8973 0.1027 0.2500  6 O 2.03-2.05
P: 0.1326 0.3598 0.1494  4 O 1.55-1.56
P: 0.1402 0.6326 0.3994  4 O 1.55-1.56
P: 0.3598 0.1326 0.8506  4 O 1.55-1.56
P: 0.3674 0.8598 0.1006  4 O 1.55-1.56
P: 0.6326 0.1402 0.6006  4 O 1.55-1.56
P: 0.6402 0.8674 0.3506  4 O 1.55-1.56
P: 0.8598 0.3674 0.8994  4 O 1.55-1.56
P: 0.8674 0.6402 0.6494  4 O 1.55-1.56
H: 0.0152 0.8367 0.1816  1 O 0.98
H: 0.0701 0.6500 0.8370  1 O 0.98
H: 0.0988 0.8830 0.9006  1 O 1.01
H: 0.1019 0.1537 0.4319  1 O 0.99
H: 0.1170 0.9012 0.5994  1 O 1.01
H: 0.1500 0.4299 0.5870  1 O 0.98
H: 0.1537 0.1019 0.5681  1 O 0.99
H: 0.1633 0.9848 0.3184  1 O 0.98
H: 0.3367 0.4848 0.9316  1 O 0.98
H: 0.3463 0.6019 0.6819  1 O 0.99
H: 0.3500 0.9299 0.6630  1 O 0.98
H: 0.3830 0.4012 0.6506  1 O 1.01
H: 0.3981 0.6537 0.8181  1 O 0.99
H: 0.4012 0.3830 0.3494  1 O 1.01
H: 0.4299 0.1500 0.4130  1 O 0.98
H: 0.4848 0.3367 0.0684  1 O 0.98
H: 0.5152 0.6633 0.5684  1 O 0.98
H: 0.5701 0.8500 0.9130  1 O 0.98
H: 0.5988 0.6170 0.8494  1 O 1.01
H: 0.6019 0.3463 0.3181  1 O 0.99
H: 0.6170 0.5988 0.1506  1 O 1.01
H: 0.6500 0.0701 0.1630  1 O 0.98
H: 0.6537 0.3981 0.1819  1 O 0.99
H: 0.6633 0.5152 0.4316  1 O 0.98
H: 0.8367 0.0152 0.8184  1 O 0.98
H: 0.8463 0.8981 0.0681  1 O 0.99
H: 0.8500 0.5701 0.0870  1 O 0.98
H: 0.8830 0.0988 0.0994  1 O 1.01
H: 0.8981 0.8463 0.9319  1 O 0.99
H: 0.9012 0.1170 0.4006  1 O 1.01
H: 0.9299 0.3500 0.3370  1 O 0.98
H: 0.9848 0.1633 0.6816  1 O 0.98
O: 0.0074 0.7954 0.6599  1 P 1.56, 1 H 1.64
O: 0.0288 0.8273 0.9393  2 H 0.99-1.01
O: 0.0334 0.4287 0.9363  1 P 1.55
O: 0.0713 0.5334 0.1863  1 P 1.55
O: 0.0877 0.1515 0.7125  1 H 0.98
O: 0.1055 0.6515 0.3219  1 P 1.55
O: 0.1346 0.6487 0.7933  1 H 0.98
O: 0.1487 0.3654 0.5433  1 H 0.98
O: 0.1515 0.0877 0.2875  1 H 0.98
O: 0.1515 0.3945 0.0719  1 P 1.55
O: 0.1727 0.9712 0.5607  2 H 0.99-1.01
O: 0.1823 0.8034 0.0707  1 P 1.55
O: 0.1966 0.8177 0.4293  1 P 1.55
O: 0.2046 0.9926 0.8401  1 P 1.56, 1 H 1.64
O: 0.2954 0.4926 0.4099  1 P 1.56, 1 H 1.64
O: 0.3034 0.3177 0.8207  1 P 1.55
O: 0.3177 0.3034 0.1793  1 P 1.55
O: 0.3273 0.4712 0.6893  2 H 0.99-1.01
O: 0.3485 0.5877 0.9625  1 H 0.98
O: 0.3485 0.8945 0.1781  1 P 1.55
O: 0.3513 0.8654 0.7067  1 H 0.98
O: 0.3654 0.1487 0.4567  1 H 0.98
O: 0.3945 0.1515 0.9281  1 P 1.55
O: 0.4123 0.6515 0.5375  1 H 0.98
O: 0.4287 0.0334 0.0637  1 P 1.55
O: 0.4666 0.9287 0.3137  1 P 1.55
O: 0.4712 0.3273 0.3107  2 H 0.99-1.01
O: 0.4926 0.2954 0.5901  1 P 1.56, 1 H 1.64
O: 0.5074 0.7046 0.0901  1 P 1.56, 1 H 1.64
O: 0.5288 0.6727 0.8107  2 H 0.99-1.01
O: 0.5334 0.0713 0.8137  1 P 1.55
O: 0.5713 0.9666 0.5637  1 P 1.55
O: 0.5877 0.3485 0.0375  1 H 0.98
O: 0.6055 0.8485 0.4281  1 P 1.55
O: 0.6346 0.8513 0.9567  1 H 0.98
O: 0.6487 0.1346 0.2067  1 H 0.98
O: 0.6515 0.1055 0.6781  1 P 1.55
O: 0.6515 0.4123 0.4625  1 H 0.98
O: 0.6727 0.5288 0.1893  2 H 0.99-1.01
O: 0.6823 0.6966 0.6793  1 P 1.55
O: 0.6966 0.6823 0.3207  1 P 1.55
O: 0.7046 0.5074 0.9099  1 P 1.56, 1 H 1.64
O: 0.7954 0.0074 0.3401  1 P 1.56, 1 H 1.64
O: 0.8034 0.1823 0.9293  1 P 1.55
O: 0.8177 0.1966 0.5707  1 P 1.55
O: 0.8273 0.0288 0.0607  2 H 0.99-1.01
O: 0.8485 0.6055 0.5719  1 P 1.55
O: 0.8485 0.9123 0.7875  1 H 0.98
O: 0.8513 0.6346 0.0433  1 H 0.98
O: 0.8654 0.3513 0.2933  1 H 0.98
O: 0.8945 0.3485 0.8219  1 P 1.55
O: 0.9123 0.8485 0.2125  1 H 0.98
O: 0.9287 0.4666 0.6863  1 P 1.55
O: 0.9666 0.5713 0.4363  1 P 1.55
O: 0.9712 0.1727 0.4393  2 H 0.99-1.01
O: 0.9926 0.2046 0.1599  1 P 1.56, 1 H 1.64

Calculated density ... 2.98 Mg/m³
Calculated formation energy ... -1.83 eV per atom
MP2020-corrected energy ... -6.612 eV/atom
M_tot ... 15.00 μB per formula unit

# 3
Here is Na2FeP2H2O6 after structural relaxation from the Materials Project database. Energies are from GGA+U.

a = 12.3422 Å, b = 5.5047 Å, c = 9.4008 Å
α = 90.00°, β = 90.00°, γ = 90.00°
With the nearest neighbours (Å) after each atom.
Positions (direct):
Na: 0.0974 0.2500 0.2266  5 O 2.41-2.46, 1 H 2.61
Na: 0.2220 0.2500 0.8264  1 O 2.31
Na: 0.2780 0.7500 0.3264  1 O 2.31
Na: 0.4026 0.7500 0.7266  5 O 2.41-2.46, 1 H 2.61
Na: 0.5974 0.2500 0.2734  5 O 2.41-2.46, 1 H 2.61
Na: 0.7220 0.2500 0.6736  1 O 2.31
Na: 0.7780 0.7500 0.1736  1 O 2.31
Na: 0.9026 0.7500 0.7734  5 O 2.41-2.46, 1 H 2.61
Fe: 0.1582 0.7500 0.6363  6 O 2.13-2.19
Fe: 0.3418 0.2500 0.1363  6 O 2.13-2.19
Fe: 0.6582 0.7500 0.8637  6 O 2.13-2.19
Fe: 0.8418 0.2500 0.3637  6 O 2.13-2.19
P: 0.0152 0.2500 0.6282  1 H 1.41, 3 O 1.54
P: 0.1867 0.7500 0.0034  1 H 1.41, 3 O 1.54
P: 0.3133 0.2500 0.5034  1 H 1.41, 3 O 1.54
P: 0.4848 0.7500 0.1282  1 H 1.41, 3 O 1.54
P: 0.5152 0.2500 0.8718  1 H 1.41, 3 O 1.54
P: 0.6867 0.7500 0.4966  1 H 1.41, 3 O 1.54
P: 0.8133 0.2500 0.9966  1 H 1.41, 3 O 1.54
P: 0.9848 0.7500 0.3718  1 H 1.41, 3 O 1.54
H: 0.0723 0.7500 0.9958  1 P 1.41
H: 0.0776 0.2500 0.5028  1 P 1.41
H: 0.4224 0.7500 0.0028  1 P 1.41
H: 0.4277 0.2500 0.4958  1 P 1.41
H: 0.5723 0.7500 0.5042  1 P 1.41
H: 0.5776 0.2500 0.9972  1 P 1.41
H: 0.9224 0.7500 0.4972  1 P 1.41
H: 0.9277 0.2500 0.0042  1 P 1.41
O: 0.0486 0.0202 0.7113  1 P 1.54
O: 0.0486 0.4798 0.7113  1 P 1.54
O: 0.1045 0.7500 0.4171  1 P 1.54
O: 0.2161 0.5165 0.0857  1 P 1.54
O: 0.2161 0.9835 0.0857  1 P 1.54
O: 0.2298 0.7500 0.8497  1 P 1.54
O: 0.2702 0.2500 0.3497  1 P 1.54
O: 0.2839 0.0165 0.5857  1 P 1.54
O: 0.2839 0.4835 0.5857  1 P 1.54
O: 0.3955 0.2500 0.9171  1 P 1.54
O: 0.4514 0.5202 0.2113  1 P 1.54
O: 0.4514 0.9798 0.2113  1 P 1.54
O: 0.5486 0.0202 0.7887  1 P 1.54
O: 0.5486 0.4798 0.7887  1 P 1.54
O: 0.6045 0.7500 0.0829  1 P 1.54
O: 0.7161 0.5165 0.4143  1 P 1.54
O: 0.7161 0.9835 0.4143  1 P 1.54
O: 0.7298 0.7500 0.6503  1 P 1.54
O: 0.7702 0.2500 0.1503  1 P 1.54
O: 0.7839 0.0165 0.9143  1 P 1.54
O: 0.7839 0.4835 0.9143  1 P 1.54
O: 0.8955 0.2500 0.5829  1 P 1.54
O: 0.9514 0.5202 0.2887  1 P 1.54
O: 0.9514 0.9798 0.2887  1 P 1.54

Calculated density ... 2.72 Mg/m³
Calculated formation energy ... -2.04 eV per atom
MP2020-corrected energy ... -6.531 eV/atom
M_tot ... 4.00 μB per formula unit

# 4
Here is NaFe6H12S4O29 after structural relaxation from the Materials Project database. Energies are from GGA+U.

a = 7.0110 Å, b = 7.4054 Å, c = 10.2603 Å
α = 90.00°, β = 93.62°, γ = 90.00°
With the nearest neighbours (Å) after each atom.
Positions (direct):
Na: 0.0000 0.0000 0.0000  12 O 2.69-2.99
Fe: 0.0000 0.5000 0.5000  6 O 1.94-2.13
Fe: 0.2439 0.2507 0.2457  6 O 2.01-2.06
Fe: 0.2439 0.7493 0.2457  6 O 2.01-2.06
Fe: 0.5000 0.0000 0.0000  6 O 2.01-2.06
Fe: 0.7561 0.2507 0.7543  6 O 2.01-2.06
Fe: 0.7561 0.7493 0.7543  6 O 2.01-2.06
H: 0.0120 0.0000 0.3042  1 O 0.99
H: 0.1895 0.2186 0.4932  1 O 0.99
H: 0.1895 0.7814 0.4932  1 O 0.99
H: 0.3114 0.2934 0.0083  1 O 0.99
H: 0.3114 0.7066 0.0083  1 O 0.99
H: 0.4737 0.5000 0.1847  1 O 0.99
H: 0.5263 0.5000 0.8153  1 O 0.99
H: 0.6886 0.2934 0.9917  1 O 0.99
H: 0.6886 0.7066 0.9917  1 O 0.99
H: 0.8105 0.2186 0.5068  1 O 0.99
H: 0.8105 0.7814 0.5068  1 O 0.99
H: 0.9880 0.0000 0.6958  1 O 0.99
S: 0.1295 0.5000 0.8105  4 O 1.48-1.50
S: 0.3873 0.0000 0.6911  4 O 1.47-1.50
S: 0.6127 0.0000 0.3089  4 O 1.47-1.50
S: 0.8705 0.5000 0.1895  4 O 1.48-1.50
O: 0.0144 0.3348 0.8373  1 S 1.50
O: 0.0144 0.6652 0.8373  1 S 1.50
O: 0.1303 0.0000 0.2573  1 H 0.99
O: 0.1635 0.3171 0.4297  1 H 0.99
O: 0.1635 0.6829 0.4297  1 H 0.99
O: 0.1837 0.5000 0.6738  1 S 1.48
O: 0.2151 0.0000 0.6010  1 S 1.47
O: 0.3027 0.5000 0.9012  1 S 1.48
O: 0.3212 0.1866 0.0661  1 H 0.99
O: 0.3212 0.8134 0.0661  1 H 0.99
O: 0.3292 0.0000 0.8290  1 S 1.50
O: 0.3499 0.5000 0.2258  1 H 0.99
O: 0.4973 0.1650 0.3321  1 S 1.49
O: 0.4973 0.8350 0.3321  1 S 1.49
O: 0.5000 0.5000 0.5000  12 O 2.78-3.02, 4 H 3.01
O: 0.5027 0.1650 0.6679  1 S 1.49
O: 0.5027 0.8350 0.6679  1 S 1.49
O: 0.6501 0.5000 0.7742  1 H 0.99
O: 0.6708 0.0000 0.1710  1 S 1.50
O: 0.6788 0.1866 0.9339  1 H 0.99
O: 0.6788 0.8134 0.9339  1 H 0.99
O: 0.6973 0.5000 0.0988  1 S 1.48
O: 0.7849 0.0000 0.3990  1 S 1.47
O: 0.8163 0.5000 0.3262  1 S 1.48
O: 0.8365 0.3171 0.5703  1 H 0.99
O: 0.8365 0.6829 0.5703  1 H 0.99
O: 0.8697 0.0000 0.7427  1 H 0.99
O: 0.9856 0.3348 0.1627  1 S 1.50
O: 0.9856 0.6652 0.1627  1 S 1.50

Calculated density ... 3.01 Mg/m³
Calculated formation energy ... -1.54 eV per atom
MP2020-corrected energy ... -6.403 eV/atom
M_tot ... 31.83 μB per formula unit